{
  "formula": "Na4Li5W10O30",
  "functional": "PBE with a Hubbard U",
  "state": "relaxed",
  "magmom_total_mub_per_fu": 9.0,
  "e_form_ev_per_fu": -106.173,
  "total_energy_ev_per_atom": -6.817,
  "lattice": [[8.830, 0.000, 0.000], [1.805, 8.667, 0.000], [0.045, 3.671, 8.070]],
  "species": ["Na", "Na", "Na", "Na", "Li", "Li", "Li", "Li", "Li", "W", "W", "W", "W", "W", "W", "W", "W", "W", "W", "O", "O", "O", "O", "O", "O", "O", "O", "O", "O", "O", "O", "O", "O", "O", "O", "O", "O", "O", "O", "O", "O", "O", "O", "O", "O", "O", "O", "O", "O"],
  "frac_coords": [[0.000, 0.000, 0.000], [0.093, 0.488, 0.206], [0.799, 0.993, 0.600], [0.899, 0.483, 0.805], [0.297, 0.492, 0.514], [0.359, 0.933, 0.847], [0.426, 0.496, 0.062], [0.674, 0.593, 0.364], [0.697, 0.979, 0.176], [0.053, 0.241, 0.603], [0.151, 0.744, 0.804], [0.252, 0.246, 0.000], [0.353, 0.744, 0.209], [0.450, 0.236, 0.406], [0.547, 0.742, 0.605], [0.653, 0.242, 0.801], [0.751, 0.743, 0.003], [0.852, 0.240, 0.205], [0.953, 0.739, 0.411], [0.032, 0.762, 0.598], [0.054, 0.240, 0.102], [0.141, 0.236, 0.806], [0.148, 0.981, 0.713], [0.160, 0.695, 0.325], [0.176, 0.501, 0.897], [0.243, 0.294, 0.489], [0.273, 0.716, 0.010], [0.297, 0.984, 0.095], [0.350, 0.275, 0.188], [0.369, 0.712, 0.722], [0.430, 0.485, 0.312], [0.442, 0.261, 0.895], [0.457, 0.727, 0.412], [0.477, 0.000, 0.509], [0.555, 0.226, 0.619], [0.557, 0.730, 0.114], [0.626, 0.483, 0.691], [0.660, 0.759, 0.801], [0.663, 0.220, 0.310], [0.684, 0.998, 0.939], [0.735, 0.773, 0.492], [0.748, 0.254, 0.994], [0.821, 0.492, 0.104], [0.843, 0.731, 0.218], [0.853, 0.198, 0.723], [0.904, 0.989, 0.270], [0.952, 0.774, 0.905], [0.959, 0.228, 0.416], [0.961, 0.490, 0.530]]
}

---

{
  "formula": "Mo4O11",
  "functional": "PBE with a Hubbard U",
  "state": "relaxed",
  "magmom_total_mub_per_fu": 2.0,
  "e_form_ev_per_fu": -28.977,
  "total_energy_ev_per_atom": -7.095,
  "e_above_lowest_polymorph_mev_per_atom": 8,
  "lattice": [[24.966, 0.000, 0.000], [0.000, 6.863, 0.000], [0.000, 0.000, 5.542]],
  "species": ["Mo", "Mo", "Mo", "Mo", "Mo", "Mo", "Mo", "Mo", "Mo", "Mo", "Mo", "Mo", "Mo", "Mo", "Mo", "Mo", "O", "O", "O", "O", "O", "O", "O", "O", "O", "O", "O", "O", "O", "O", "O", "O", "O", "O", "O", "O", "O", "O", "O", "O", "O", "O", "O", "O", "O", "O", "O", "O", "O", "O", "O", "O", "O", "O", "O", "O", "O", "O", "O", "O"],
  "frac_coords": [[0.029, 0.159, 0.000], [0.087, 0.483, 0.500], [0.147, 0.805, 0.996], [0.205, 0.129, 0.514], [0.295, 0.629, 0.014], [0.353, 0.305, 0.496], [0.413, 0.983, 0.000], [0.471, 0.659, 0.500], [0.529, 0.341, 0.000], [0.587, 0.017, 0.500], [0.647, 0.695, 0.996], [0.705, 0.371, 0.514], [0.795, 0.871, 0.014], [0.853, 0.195, 0.496], [0.913, 0.517, 0.000], [0.971, 0.841, 0.500], [0.002, 0.008, 0.737], [0.031, 0.658, 0.498], [0.061, 0.316, 0.268], [0.066, 0.337, 0.762], [0.094, 0.983, 0.003], [0.123, 0.640, 0.223], [0.128, 0.675, 0.726], [0.164, 0.341, 0.493], [0.186, 0.963, 0.283], [0.193, 0.016, 0.800], [0.224, 0.677, 0.988], [0.276, 0.177, 0.488], [0.307, 0.516, 0.300], [0.314, 0.463, 0.783], [0.336, 0.841, 0.993], [0.372, 0.175, 0.226], [0.377, 0.140, 0.723], [0.406, 0.483, 0.503], [0.434, 0.837, 0.262], [0.439, 0.816, 0.768], [0.469, 0.158, 0.998], [0.498, 0.508, 0.237], [0.502, 0.492, 0.737], [0.531, 0.842, 0.498], [0.561, 0.184, 0.268], [0.566, 0.163, 0.762], [0.594, 0.517, 0.003], [0.623, 0.860, 0.223], [0.628, 0.825, 0.726], [0.664, 0.159, 0.493], [0.686, 0.537, 0.283], [0.693, 0.484, 0.800], [0.724, 0.823, 0.988], [0.776, 0.323, 0.488], [0.807, 0.984, 0.300], [0.814, 0.037, 0.783], [0.836, 0.659, 0.993], [0.872, 0.325, 0.226], [0.877, 0.360, 0.723], [0.906, 0.017, 0.503], [0.934, 0.663, 0.262], [0.939, 0.684, 0.768], [0.969, 0.342, 0.998], [0.998, 0.992, 0.237]]
}

---

{
  "formula": "LiFe8O14F2",
  "functional": "PBE with a Hubbard U",
  "state": "relaxed",
  "magmom_total_mub_per_fu": 35.0,
  "e_form_ev_per_fu": -38.222,
  "total_energy_ev_per_atom": -6.096,
  "e_above_lowest_polymorph_mev_per_atom": 11,
  "lattice": [[5.609, 0.000, 0.000], [2.460, 6.887, 0.000], [2.444, 0.448, 6.892]],
  "species": ["Li", "Fe", "Fe", "Fe", "Fe", "Fe", "Fe", "Fe", "Fe", "O", "O", "O", "O", "O", "O", "O", "O", "O", "O", "O", "O", "O", "O", "F", "F"],
  "frac_coords": [[0.000, 0.000, 0.000], [0.106, 0.205, 0.197], [0.113, 0.220, 0.694], [0.116, 0.685, 0.211], [0.134, 0.706, 0.693], [0.593, 0.958, 0.938], [0.598, 0.438, 0.954], [0.616, 0.447, 0.453], [0.637, 0.937, 0.453], [0.257, 0.937, 0.126], [0.263, 0.629, 0.938], [0.278, 0.431, 0.621], [0.442, 0.220, 0.033], [0.445, 0.025, 0.718], [0.459, 0.523, 0.217], [0.482, 0.713, 0.522], [0.762, 0.377, 0.686], [0.773, 0.179, 0.376], [0.785, 0.864, 0.178], [0.942, 0.275, 0.973], [0.950, 0.972, 0.772], [0.959, 0.460, 0.284], [0.982, 0.766, 0.468], [0.275, 0.121, 0.423], [0.767, 0.676, 0.871]]
}

---

{
  "formula": "Cr3O2F2",
  "functional": "PBE with a Hubbard U",
  "state": "relaxed",
  "magmom_total_mub_per_fu": 12.0,
  "e_form_ev_per_fu": -15.499,
  "total_energy_ev_per_atom": -7.127,
  "e_above_lowest_polymorph_mev_per_atom": 40,
  "lattice": [[8.369, 0.000, 0.000], [0.000, 8.700, 0.000], [-3.049, 0.000, 10.491]],
  "species": ["Cr", "Cr", "Cr", "Cr", "Cr", "Cr", "Cr", "Cr", "Cr", "Cr", "Cr", "Cr", "Cr", "Cr", "Cr", "Cr", "Cr", "Cr", "Cr", "Cr", "Cr", "Cr", "Cr", "Cr", "O", "O", "O", "O", "O", "O", "O", "O", "O", "O", "O", "O", "O", "O", "O", "O", "F", "F", "F", "F", "F", "F", "F", "F", "F", "F", "F", "F", "F", "F", "F", "F"],
  "frac_coords": [[0.044, 0.077, 0.268], [0.044, 0.423, 0.768], [0.097, 0.147, 0.991], [0.097, 0.353, 0.491], [0.190, 0.019, 0.567], [0.190, 0.481, 0.067], [0.266, 0.685, 0.668], [0.266, 0.815, 0.168], [0.400, 0.574, 0.378], [0.400, 0.926, 0.878], [0.424, 0.203, 0.362], [0.424, 0.297, 0.862], [0.576, 0.703, 0.138], [0.576, 0.797, 0.638], [0.600, 0.074, 0.122], [0.600, 0.426, 0.622], [0.734, 0.185, 0.832], [0.734, 0.315, 0.332], [0.810, 0.519, 0.933], [0.810, 0.981, 0.433], [0.903, 0.647, 0.509], [0.903, 0.853, 0.009], [0.956, 0.577, 0.232], [0.956, 0.923, 0.732], [0.002, 0.634, 0.066], [0.002, 0.866, 0.566], [0.095, 0.522, 0.618], [0.095, 0.978, 0.118], [0.381, 0.606, 0.186], [0.381, 0.894, 0.686], [0.435, 0.606, 0.575], [0.435, 0.894, 0.075], [0.565, 0.106, 0.925], [0.565, 0.394, 0.425], [0.619, 0.106, 0.314], [0.619, 0.394, 0.814], [0.905, 0.022, 0.882], [0.905, 0.478, 0.382], [0.998, 0.134, 0.434], [0.998, 0.366, 0.934], [0.173, 0.696, 0.323], [0.173, 0.804, 0.823], [0.207, 0.170, 0.821], [0.207, 0.330, 0.321], [0.284, 0.010, 0.363], [0.284, 0.490, 0.863], [0.309, 0.232, 0.587], [0.309, 0.268, 0.087], [0.691, 0.732, 0.913], [0.691, 0.768, 0.413], [0.716, 0.510, 0.137], [0.716, 0.990, 0.637], [0.793, 0.670, 0.679], [0.793, 0.830, 0.179], [0.827, 0.196, 0.177], [0.827, 0.304, 0.677]]
}

---

{
  "formula": "Li5Ni4O8",
  "functional": "PBE with a Hubbard U",
  "state": "relaxed",
  "magmom_total_mub_per_fu": 5.0,
  "e_form_ev_per_fu": -24.767,
  "total_energy_ev_per_atom": -4.786,
  "e_above_lowest_polymorph_mev_per_atom": 46,
  "lattice": [[2.872, -5.245, 0.000], [2.872, 5.245, 0.000], [0.000, 0.000, 9.627]],
  "species": ["Li", "Li", "Li", "Li", "Li", "Li", "Li", "Li", "Li", "Li", "Ni", "Ni", "Ni", "Ni", "Ni", "Ni", "Ni", "Ni", "O", "O", "O", "O", "O", "O", "O", "O", "O", "O", "O", "O", "O", "O", "O", "O"],
  "frac_coords": [[0.012, 0.988, 0.500], [0.182, 0.384, 0.427], [0.201, 0.799, 0.440], [0.321, 0.679, 0.203], [0.384, 0.182, 0.927], [0.616, 0.818, 0.427], [0.679, 0.321, 0.703], [0.799, 0.201, 0.940], [0.818, 0.616, 0.927], [0.988, 0.012, 0.000], [0.174, 0.330, 0.699], [0.176, 0.824, 0.699], [0.330, 0.174, 0.199], [0.333, 0.667, 0.952], [0.667, 0.333, 0.452], [0.670, 0.826, 0.699], [0.824, 0.176, 0.199], [0.826, 0.670, 0.199], [0.007, 0.993, 0.805], [0.025, 0.506, 0.827], [0.147, 0.853, 0.083], [0.161, 0.352, 0.071], [0.342, 0.658, 0.586], [0.352, 0.161, 0.571], [0.491, 0.509, 0.818], [0.494, 0.975, 0.827], [0.506, 0.025, 0.327], [0.509, 0.491, 0.318], [0.648, 0.839, 0.071], [0.658, 0.342, 0.086], [0.839, 0.648, 0.571], [0.853, 0.147, 0.583], [0.975, 0.494, 0.327], [0.993, 0.007, 0.305]]
}

---

{
  "formula": "Mg6VCoO8",
  "functional": "PBE with a Hubbard U",
  "state": "relaxed",
  "magmom_total_mub_per_fu": 5.8,
  "e_form_ev_per_fu": -42.861,
  "total_energy_ev_per_atom": -6.213,
  "lattice": [[4.266, 0.000, 0.000], [0.000, 4.266, 0.000], [0.000, 0.000, 8.629]],
  "species": ["Mg", "Mg", "Mg", "Mg", "Mg", "Mg", "V", "Co", "O", "O", "O", "O", "O", "O", "O", "O"],
  "frac_coords": [[0.000, 0.000, 0.000], [0.000, 0.000, 0.500], [0.000, 0.500, 0.247], [0.000, 0.500, 0.753], [0.500, 0.000, 0.247], [0.500, 0.000, 0.753], [0.500, 0.500, 0.500], [0.500, 0.500, 0.000], [0.000, 0.000, 0.249], [0.000, 0.000, 0.751], [0.000, 0.500, 0.000], [0.000, 0.500, 0.500], [0.500, 0.000, 0.000], [0.500, 0.000, 0.500], [0.500, 0.500, 0.251], [0.500, 0.500, 0.749]]
}

---

{
  "formula": "Li6V3P8O29",
  "functional": "PBE with a Hubbard U",
  "state": "relaxed",
  "magmom_total_mub_per_fu": 3.0,
  "e_form_ev_per_fu": -122.306,
  "total_energy_ev_per_atom": -7.017,
  "e_above_lowest_polymorph_mev_per_atom": 4,
  "lattice": [[9.819, 0.000, 0.000], [4.900, 8.520, 0.000], [0.025, -0.001, 13.897]],
  "species": ["Li", "Li", "Li", "Li", "Li", "Li", "Li", "Li", "Li", "Li", "Li", "Li", "V", "V", "V", "V", "V", "V", "P", "P", "P", "P", "P", "P", "P", "P", "P", "P", "P", "P", "P", "P", "P", "P", "O", "O", "O", "O", "O", "O", "O", "O", "O", "O", "O", "O", "O", "O", "O", "O", "O", "O", "O", "O", "O", "O", "O", "O", "O", "O", "O", "O", "O", "O", "O", "O", "O", "O", "O", "O", "O", "O", "O", "O", "O", "O", "O", "O", "O", "O", "O", "O", "O", "O", "O", "O", "O", "O", "O", "O", "O", "O"],
  "frac_coords": [[0.000, 0.000, 0.000], [0.001, 0.132, 0.499], [0.094, 0.811, 0.619], [0.099, 0.220, 0.119], [0.228, 0.228, 0.621], [0.230, 0.677, 0.121], [0.417, 0.581, 0.498], [0.549, 0.000, 0.499], [0.550, 0.584, 0.000], [0.635, 0.819, 0.121], [0.644, 0.676, 0.619], [0.989, 0.569, 0.942], [0.322, 0.470, 0.309], [0.326, 0.334, 0.813], [0.752, 0.907, 0.309], [0.756, 0.469, 0.809], [0.886, 0.905, 0.810], [0.888, 0.338, 0.310], [0.003, 0.135, 0.717], [0.003, 0.993, 0.216], [0.090, 0.816, 0.400], [0.094, 0.223, 0.901], [0.233, 0.675, 0.902], [0.235, 0.223, 0.403], [0.407, 0.136, 0.217], [0.409, 0.586, 0.716], [0.553, 0.991, 0.718], [0.554, 0.585, 0.218], [0.639, 0.815, 0.904], [0.642, 0.673, 0.401], [0.655, 0.238, 0.433], [0.657, 0.238, 0.933], [0.987, 0.572, 0.186], [0.990, 0.570, 0.686], [0.070, 0.824, 0.903], [0.071, 0.239, 0.402], [0.077, 0.147, 0.991], [0.080, 0.905, 0.491], [0.082, 0.148, 0.627], [0.082, 0.902, 0.126], [0.112, 0.115, 0.810], [0.113, 0.903, 0.309], [0.134, 0.578, 0.224], [0.137, 0.419, 0.727], [0.209, 0.532, 0.886], [0.223, 0.383, 0.384], [0.238, 0.651, 0.400], [0.239, 0.243, 0.900], [0.315, 0.142, 0.131], [0.318, 0.666, 0.626], [0.321, 0.694, 0.809], [0.323, 0.147, 0.494], [0.325, 0.660, 0.991], [0.328, 0.111, 0.313], [0.404, 0.570, 0.218], [0.405, 0.155, 0.718], [0.416, 0.428, 0.734], [0.420, 0.285, 0.234], [0.510, 0.392, 0.393], [0.511, 0.237, 0.888], [0.531, 0.696, 0.309], [0.533, 0.904, 0.811], [0.563, 0.662, 0.492], [0.563, 0.664, 0.127], [0.565, 0.901, 0.628], [0.568, 0.901, 0.994], [0.572, 0.571, 0.716], [0.575, 0.989, 0.219], [0.648, 0.092, 0.393], [0.655, 0.650, 0.901], [0.656, 0.389, 0.890], [0.656, 0.823, 0.401], [0.659, 0.243, 0.040], [0.660, 0.237, 0.540], [0.702, 0.425, 0.234], [0.703, 0.002, 0.733], [0.802, 0.527, 0.383], [0.808, 0.791, 0.885], [0.809, 0.086, 0.892], [0.811, 0.232, 0.391], [0.833, 0.718, 0.224], [0.837, 0.574, 0.728], [0.843, 0.005, 0.235], [0.843, 0.283, 0.733], [0.940, 0.806, 0.383], [0.947, 0.390, 0.886], [0.986, 0.573, 0.579], [0.988, 0.569, 0.077], [0.989, 0.155, 0.217], [0.990, 0.986, 0.717], [0.992, 0.419, 0.225], [0.992, 0.720, 0.728]]
}